1.
Density functional theory data (PBE-GGA) for crystalline ThFe2Co3 at its relaxed geometry.

Results
Magnetization, μB/f.u.: 8.0
Symmetry: No. 65
ΔH_f (0 K), eV/f.u.: -0.7

CIF file:
```
data_ThFe2Co3
_symmetry_space_group_name_H-M 'P 1'
_symmetry_Int_Tables_number 1
_cell_length_a 4.976
_cell_length_b 4.976
_cell_length_c 4.031
_cell_angle_alpha 90.00
_cell_angle_beta 90.00
_cell_angle_gamma 119.80
loop_
_symmetry_equiv_pos_as_xyz
'x,y,z'
loop_
_atom_site_label
_atom_site_type_symbol
_atom_site_fract_x
_atom_site_fract_y
_atom_site_fract_z
Th1 Th 0.000 0.000 0.000
Fe1 Fe 0.500 0.000 0.500
Fe2 Fe 0.000 0.500 0.500
Co1 Co 0.500 0.500 0.500
Co2 Co 0.676 0.324 0.000
Co3 Co 0.324 0.676 0.000
```

2.
Density functional theory data (PBE-GGA) for crystalline ThFeCo4 at its relaxed geometry.

Results
Magnetization, μB/f.u.: 7.4
Symmetry: No. 187
ΔH_f (0 K), eV/f.u.: -0.8

CIF file:
```
data_ThFeCo4
_symmetry_space_group_name_H-M 'P 1'
_symmetry_Int_Tables_number 1
_cell_length_a 3.996
_cell_length_b 5.009
_cell_length_c 5.008
_cell_angle_alpha 60.02
_cell_angle_beta 90.00
_cell_angle_gamma 90.00
loop_
_symmetry_equiv_pos_as_xyz
'x,y,z'
loop_
_atom_site_label
_atom_site_type_symbol
_atom_site_fract_x
_atom_site_fract_y
_atom_site_fract_z
Th1 Th 0.000 0.000 0.000
Fe1 Fe 0.000 0.333 0.333
Co1 Co 0.000 0.667 0.667
Co2 Co 0.500 0.501 0.501
Co3 Co 0.500 0.501 0.998
Co4 Co 0.500 0.998 0.501
```

3.
Density functional theory data (PBE-GGA) for crystalline Ti2FeCo at its relaxed geometry.

Results
Symmetry: No. 225
ΔH_f (0 K), eV/f.u.: -1.6

CIF file:
```
data_Ti2FeCo
_symmetry_space_group_name_H-M 'P 1'
_symmetry_Int_Tables_number 1
_cell_length_a 4.203
_cell_length_b 4.203
_cell_length_c 4.203
_cell_angle_alpha 60.00
_cell_angle_beta 60.00
_cell_angle_gamma 60.00
loop_
_symmetry_equiv_pos_as_xyz
'x,y,z'
loop_
_atom_site_label
_atom_site_type_symbol
_atom_site_fract_x
_atom_site_fract_y
_atom_site_fract_z
Ti1 Ti 0.250 0.250 0.250
Ti2 Ti 0.750 0.750 0.750
Fe1 Fe 0.000 0.000 0.000
Co1 Co 0.500 0.500 0.500
```

4.
Density functional theory data (PBE-GGA) for crystalline Zr4FeCo at its relaxed geometry.

Results
Symmetry: No. 97
ΔH_f (0 K), eV/f.u.: -1.2

CIF file:
```
data_Zr4FeCo
_symmetry_space_group_name_H-M 'P 1'
_symmetry_Int_Tables_number 1
_cell_length_a 5.271
_cell_length_b 5.271
_cell_length_c 5.271
_cell_angle_alpha 106.76
_cell_angle_beta 106.76
_cell_angle_gamma 115.05
loop_
_symmetry_equiv_pos_as_xyz
'x,y,z'
loop_
_atom_site_label
_atom_site_type_symbol
_atom_site_fract_x
_atom_site_fract_y
_atom_site_fract_z
Zr1 Zr 0.928 0.428 0.855
Zr2 Zr 0.572 0.072 0.145
Zr3 Zr 0.072 0.928 0.500
Zr4 Zr 0.428 0.572 0.500
Fe1 Fe 0.500 0.500 0.000
Co1 Co 0.000 0.000 0.000
```

5.
Density functional theory data (PBE-GGA) for crystalline GaCo4 at its relaxed geometry.

Results
Magnetization, μB/f.u.: 6.1
Symmetry: No. 166
ΔH_f (0 K), eV/f.u.: 0.2

CIF file:
```
data_GaCo4
_symmetry_space_group_name_H-M 'P 1'
_symmetry_Int_Tables_number 1
_cell_length_a 10.151
_cell_length_b 10.151
_cell_length_c 10.151
_cell_angle_alpha 14.63
_cell_angle_beta 14.63
_cell_angle_gamma 14.63
loop_
_symmetry_equiv_pos_as_xyz
'x,y,z'
loop_
_atom_site_label
_atom_site_type_symbol
_atom_site_fract_x
_atom_site_fract_y
_atom_site_fract_z
Ga1 Ga 0.000 0.000 0.000
Co1 Co 0.598 0.598 0.598
Co2 Co 0.200 0.200 0.200
Co3 Co 0.800 0.800 0.800
Co4 Co 0.402 0.402 0.402
```

6.
Density functional theory data (PBE-GGA) for crystalline Ga3Co at its relaxed geometry.

Results
Symmetry: No. 136
ΔH_f (0 K), eV/f.u.: -1.1

CIF file:
```
data_Ga3Co
_symmetry_space_group_name_H-M 'P 1'
_symmetry_Int_Tables_number 1
_cell_length_a 6.270
_cell_length_b 6.270
_cell_length_c 6.466
_cell_angle_alpha 90.00
_cell_angle_beta 90.00
_cell_angle_gamma 90.00
loop_
_symmetry_equiv_pos_as_xyz
'x,y,z'
loop_
_atom_site_label
_atom_site_type_symbol
_atom_site_fract_x
_atom_site_fract_y
_atom_site_fract_z
Ga1 Ga 0.500 0.000 0.000
Ga2 Ga 0.500 0.000 0.500
Ga3 Ga 0.000 0.500 0.000
Ga4 Ga 0.000 0.500 0.500
Ga5 Ga 0.651 0.349 0.745
Ga6 Ga 0.849 0.849 0.755
Ga7 Ga 0.151 0.151 0.755
Ga8 Ga 0.349 0.651 0.745
Ga9 Ga 0.349 0.651 0.255
Ga10 Ga 0.651 0.349 0.255
Ga11 Ga 0.849 0.849 0.245
Ga12 Ga 0.151 0.151 0.245
Co1 Co 0.845 0.155 0.000
Co2 Co 0.655 0.655 0.500
Co3 Co 0.345 0.345 0.500
Co4 Co 0.155 0.845 0.000
```